LaMg2NiH7 | PBE | optimized geometry

Output
As for the crystal system: monoclinic. The calculated formation energy is -496.1 kJ/mol of formula units.

Unit cell a=13.8693 b=4.6748 c=16.0152 alpha=90.00 beta=124.83 gamma=90.00
Space group P2_1/c (No. 14)
Unique sites:
La1 0.2191 0.2413 0.0071 (multiplicity 4)
La2 0.2803 0.2325 0.7873 (multiplicity 4)
Mg1 0.0929 0.7362 0.0918 (multiplicity 4)
Mg2 0.0995 0.7394 0.7906 (multiplicity 4)
Mg3 0.3999 0.7469 0.1883 (multiplicity 4)
Mg4 0.4066 0.7412 0.9969 (multiplicity 4)
Ni1 0.0048 0.2249 0.1132 (multiplicity 4)
Ni2 0.4954 0.2219 0.1090 (multiplicity 4)
H1 0.0196 0.0925 0.8657 (multiplicity 4)
H2 0.0580 0.1317 0.7201 (multiplicity 4)
H3 0.1046 0.2271 0.0935 (multiplicity 4)
H4 0.1233 0.7174 0.9812 (multiplicity 4)
H5 0.2004 0.7379 0.7400 (multiplicity 4)
H6 0.2160 0.0381 0.3753 (multiplicity 4)
H7 0.2346 0.5134 0.3868 (multiplicity 4)
H8 0.2617 0.5057 0.1494 (multiplicity 4)
H9 0.2891 0.0324 0.1623 (multiplicity 4)
H10 0.2986 0.7307 0.0377 (multiplicity 4)
H11 0.3778 0.6972 0.8595 (multiplicity 4)
H12 0.3945 0.2262 0.4929 (multiplicity 4)
H13 0.4563 0.1312 0.6739 (multiplicity 4)
H14 0.4850 0.0994 0.8530 (multiplicity 4)


LaMg2H7Pd | PBE | optimized geometry

Output
As for the crystal system: orthorhombic. The calculated formation energy is -392.7 kJ/mol of formula units.

Unit cell a=4.7663 b=8.1111 c=11.7536 alpha=90.00 beta=90.00 gamma=90.00
Space group P2_12_12_1 (No. 19)
Unique sites:
La1 0.0011 0.0508 0.2193 (multiplicity 4)
Mg1 0.0022 0.7737 0.8983 (multiplicity 4)
Mg2 0.0157 0.1588 0.8993 (multiplicity 4)
H1 0.0229 0.9685 0.8006 (multiplicity 4)
H2 0.0317 0.8250 0.3896 (multiplicity 4)
H3 0.0343 0.9000 0.6307 (multiplicity 4)
H4 0.0969 0.1593 0.4472 (multiplicity 4)
H5 0.1135 0.4850 0.4823 (multiplicity 4)
H6 0.2240 0.7864 0.2130 (multiplicity 4)
H7 0.2474 0.7061 0.7670 (multiplicity 4)
Pd1 0.0300 0.4723 0.0053 (multiplicity 4)


NaLaH2S2O9 | PBE | optimized geometry

Output
As for the crystal system: trigonal. The calculated formation energy is -3313.1 kJ/mol of formula units.

Unit cell a=7.2026 b=7.2026 c=12.8159 alpha=90.00 beta=90.00 gamma=120.00
Space group P3_1 (No. 144)
Unique sites:
Na1 0.0026 0.4782 0.0000 (multiplicity 3)
La1 0.4408 0.0020 0.1666 (multiplicity 3)
H1 0.0379 0.9415 0.8723 (multiplicity 3)
H2 0.0920 0.0588 0.4563 (multiplicity 3)
S1 0.0032 0.4384 0.7532 (multiplicity 3)
S2 0.4423 0.0022 0.9136 (multiplicity 3)
O1 0.0936 0.0049 0.1637 (multiplicity 3)
O2 0.1204 0.6189 0.6779 (multiplicity 3)
O3 0.1283 0.3748 0.3119 (multiplicity 3)
O4 0.1361 0.6210 0.1766 (multiplicity 3)
O5 0.1542 0.4066 0.8201 (multiplicity 3)
O6 0.3700 0.1276 0.3551 (multiplicity 3)
O7 0.4101 0.1529 0.8467 (multiplicity 3)
O8 0.4966 0.3769 0.6554 (multiplicity 3)
O9 0.5186 0.3838 0.1569 (multiplicity 3)


NaLaH2S2O9 | PBE | optimized geometry

Output
As for the crystal system: trigonal. The calculated formation energy is -3320.9 kJ/mol of formula units.

Unit cell a=7.1495 b=7.1495 c=13.0588 alpha=90.00 beta=90.00 gamma=120.00
Space group P3_121 (No. 152)
Unique sites:
Na1 0.0000 0.4722 0.1667 (multiplicity 3)
La1 0.0000 0.4357 0.6667 (multiplicity 3)
H1 0.0468 0.0959 0.3723 (multiplicity 6)
S1 0.0122 0.4528 0.9127 (multiplicity 6)
O1 0.0000 0.0807 0.6667 (multiplicity 3)
O2 0.1200 0.6159 0.3471 (multiplicity 6)
O3 0.1272 0.3870 0.4859 (multiplicity 6)
O4 0.1312 0.6370 0.8403 (multiplicity 6)
O5 0.1634 0.4098 0.9731 (multiplicity 6)


LaNb2HO7 | PBE | optimized geometry

Output
As for the crystal system: tetragonal. The calculated formation energy is -2667.9 kJ/mol of formula units.

Unit cell a=3.9263 b=3.9263 c=10.7464 alpha=90.00 beta=90.00 gamma=90.00
Space group P4/mmm (No. 123)
Unique sites:
La1 0.0000 0.0000 0.0000 (multiplicity 1)
Nb1 0.5000 0.5000 0.2186 (multiplicity 2)
H1 0.0000 0.0000 0.5000 (multiplicity 1)
O1 0.0000 0.5000 0.1697 (multiplicity 4)
O2 0.5000 0.5000 0.0000 (multiplicity 1)
O3 0.5000 0.5000 0.3825 (multiplicity 2)


LaNi5H6 | PBE | optimized geometry

Output
As for the crystal system: trigonal. The calculated formation energy is -358.8 kJ/mol of formula units.

Unit cell a=5.3014 b=5.3014 c=4.2013 alpha=90.00 beta=90.00 gamma=120.00
Space group P3m1 (No. 156)
Unique sites:
La1 0.0000 0.0000 0.0000 (multiplicity 1)
Ni1 0.3333 0.6667 0.1533 (multiplicity 1)
Ni2 0.5101 0.0202 0.6033 (multiplicity 3)
Ni3 0.6667 0.3333 0.1201 (multiplicity 1)
H1 0.0081 0.5041 0.9908 (multiplicity 3)
H2 0.1770 0.3540 0.4654 (multiplicity 3)


LaNi5H6 | PBE | optimized geometry

Output
As for the crystal system: hexagonal. The calculated formation energy is -284.5 kJ/mol of formula units.

Unit cell a=5.4109 b=5.4109 c=4.0692 alpha=90.00 beta=90.00 gamma=120.00
Space group P6mm (No. 183)
Unique sites:
La1 0.0000 0.0000 0.0000 (multiplicity 1)
Ni1 0.0000 0.5000 0.6254 (multiplicity 3)
Ni2 0.3333 0.6667 0.1149 (multiplicity 2)
H1 0.2045 0.4091 0.4116 (multiplicity 6)


LaNiSnH2 | PBE | optimized geometry

Output
As for the crystal system: hexagonal. The calculated formation energy is -310.3 kJ/mol of formula units.

Unit cell a=4.4463 b=4.4463 c=8.6790 alpha=90.00 beta=90.00 gamma=120.00
Space group P6_3/mmc (No. 194)
Unique sites:
La1 0.0000 0.0000 0.0000 (multiplicity 2)
Ni1 0.3333 0.6667 0.2500 (multiplicity 2)
Sn1 0.3333 0.6667 0.7500 (multiplicity 2)
H1 0.3333 0.6667 0.0654 (multiplicity 4)


Number 1: raw total energy -3.78 eV per atom, calculated density 3.95 Mg/m³. Number 2: raw total energy -3.74 eV per atom, calculated density 4.40 Mg/m³. Number 3: raw total energy -6.27 eV per atom, calculated density 3.22 Mg/m³. Number 4: raw total energy -6.27 eV per atom, calculated density 3.21 Mg/m³. Number 5: raw total energy -7.82 eV per atom, calculated density 4.39 Mg/m³. Number 6: raw total energy -4.74 eV per atom, calculated density 7.12 Mg/m³. Number 7: raw total energy -4.67 eV per atom, calculated density 7.06 Mg/m³. Number 8: raw total energy -4.87 eV per atom, calculated density 7.11 Mg/m³.